This record from Materials Project describes an optimized crystal structure of CsLiCrO4. The functional is PBE with a Hubbard U.

The structure belongs to space group P2_1/c (No. 14); the cell edges are 5.730, 9.139 and 11.395 Å and the angles 90.00°, 119.56° and 90.00°. The distinct sites, in fractional coordinates, are Cs at (0.047, 0.002, 0.280), Li at (0.349, 0.187, 0.087), Cr at (0.313, 0.709, 0.574), O at (0.006, 0.735, 0.959), O at (0.324, 0.528, 0.575), O at (0.379, 0.730, 0.226) and O at (0.464, 0.224, 0.466).

As for the crystal system: monoclinic. The total energy is -6.03 eV/atom. Its volume is 18.54 A^3/atom.